Record 1
The following is a DFT calculation (PBE-GGA) of a geometry-optimized K3Si structure.

Output
The symmetry is Fm-3m, No. 225. The value obtained for the raw total energy is -7.55 eV/cell. The volume comes out at 155.9 Å³/cell. As for the magnetization: 0.2500 μB per atom. As for the crystal system: cubic.

a b c (Å): 6.0412 6.0412 6.0412
angles (deg): 60.00 60.00 60.00
With the nearest neighbours (Å) after each atom.
Element x y z (fractional)
K: 0.2500 0.2500 0.2500  4 K 3.70, 4 Si 3.70
K: 0.7500 0.7500 0.7500  4 K 3.70, 4 Si 3.70
K: 0.5000 0.5000 0.5000  8 K 3.70
Si: 0.0000 0.0000 0.0000  8 K 3.70

Record 2
The following is a DFT calculation (PBE-GGA) of a geometry-optimized SmInO3 structure.

Output
The symmetry is Pnma, No. 62. The value obtained for the raw total energy is -138.99 eV/cell. The volume comes out at 275.8 Å³/cell. As for the magnetization: 0.0000 μB per atom. As for the crystal system: orthorhombic.

a b c (Å): 5.6230 5.9526 8.2389
angles (deg): 90.00 90.00 90.00
With the nearest neighbours (Å) after each atom.
Element x y z (fractional)
Sm: 0.9796 0.0645 0.2500  4 O 2.30-2.39
Sm: 0.4796 0.4355 0.7500  4 O 2.30-2.39
Sm: 0.5204 0.5645 0.2500  4 O 2.30-2.39
Sm: 0.0204 0.9355 0.7500  4 O 2.30-2.39
In: 0.5000 0.0000 0.0000  6 O 2.17-2.23
In: 0.5000 0.0000 0.5000  6 O 2.17-2.23
In: 0.0000 0.5000 0.0000  6 O 2.17-2.23
In: 0.0000 0.5000 0.5000  6 O 2.17-2.23
O: 0.6347 0.0622 0.7500  2 In 2.23, 2 Sm 2.30-2.39
O: 0.1874 0.1905 0.5684  2 In 2.17-2.20, 1 Sm 2.33
O: 0.1874 0.1905 0.9316  2 In 2.17-2.20, 1 Sm 2.33
O: 0.6874 0.3095 0.4316  2 In 2.17-2.20, 1 Sm 2.33
O: 0.6874 0.3095 0.0684  2 In 2.17-2.20, 1 Sm 2.33
O: 0.1347 0.4378 0.2500  2 In 2.23, 2 Sm 2.30-2.39
O: 0.8653 0.5622 0.7500  2 In 2.23, 2 Sm 2.30-2.39
O: 0.3126 0.6905 0.9316  2 In 2.17-2.20, 1 Sm 2.33
O: 0.3126 0.6905 0.5684  2 In 2.17-2.20, 1 Sm 2.33
O: 0.8126 0.8095 0.0684  2 In 2.17-2.20, 1 Sm 2.33
O: 0.8126 0.8095 0.4316  2 In 2.17-2.20, 1 Sm 2.33
O: 0.3653 0.9378 0.2500  2 In 2.23, 2 Sm 2.30-2.39

Record 3
The following is a DFT calculation (PBE-GGA) of a geometry-optimized MnBiS2Br structure.

Output
The symmetry is C2/m, No. 12. The value obtained for the raw total energy is -51.31 eV/cell. The volume comes out at 239.8 Å³/cell. As for the magnetization: 1.0001 μB per atom. As for the crystal system: monoclinic.

a b c (Å): 3.9435 6.6818 9.5284
angles (deg): 91.43 90.00 107.16
With the nearest neighbours (Å) after each atom.
Element x y z (fractional)
Mn: 0.5000 0.0000 0.0000  6 S 2.53-2.67
Mn: 0.5000 0.0000 0.5000  2 S 2.57, 4 Br 2.70
Bi: 0.2145 0.4291 0.8031  3 S 2.61-2.72
Bi: 0.7855 0.5709 0.1969  3 S 2.61-2.72
S: 0.1360 0.2721 0.0535  1 Bi 2.61, 2 Mn 2.67
S: 0.5713 0.1426 0.7547  2 Mn 2.53-2.57, 2 Bi 2.72
S: 0.8640 0.7279 0.9465  1 Bi 2.61, 2 Mn 2.67
S: 0.4287 0.8574 0.2453  2 Mn 2.53-2.57, 2 Bi 2.72
Br: 0.1343 0.2685 0.4340  2 Mn 2.70
Br: 0.8657 0.7315 0.5660  2 Mn 2.70

Record 4
The following is a DFT calculation (PBE-GGA) of a geometry-optimized FeBr3 structure.

Output
The symmetry is R-3, No. 148. The value obtained for the raw total energy is -29.67 eV/cell. The volume comes out at 221.8 Å³/cell. As for the crystal system: trigonal.

a b c (Å): 7.3833 7.3833 7.3833
angles (deg): 50.65 50.65 50.65
With the nearest neighbours (Å) after each atom.
Element x y z (fractional)
Fe: 0.3334 0.3334 0.3334  6 Br 2.43
Fe: 0.6666 0.6666 0.6666  6 Br 2.43
Br: 0.4414 0.7017 0.0713  2 Fe 2.43
Br: 0.7017 0.0713 0.4414  2 Fe 2.43
Br: 0.0713 0.4414 0.7017  2 Fe 2.43
Br: 0.5586 0.2983 0.9287  2 Fe 2.43
Br: 0.2983 0.9287 0.5586  2 Fe 2.43
Br: 0.9287 0.5586 0.2983  2 Fe 2.43

Record 5
The following is a DFT calculation (PBE-GGA) of a geometry-optimized Ce6SiNi4 structure.

Output
The symmetry is P6_3/m, No. 176. The value obtained for the raw total energy is -134.71 eV/cell. The volume comes out at 470.4 Å³/cell. As for the magnetization: 0.3740 μB per atom. As for the crystal system: hexagonal.

a b c (Å): 10.7714 10.7714 4.6816
angles (deg): 90.00 90.00 120.00
With the nearest neighbours (Å) after each atom.
Element x y z (fractional)
Ce: 0.2356 0.2384 0.7500  3 Ni 2.66-2.81
Ce: 0.7644 0.7616 0.2500  3 Ni 2.66-2.81
Ce: 0.7616 0.9971 0.7500  3 Ni 2.66-2.81
Ce: 0.2384 0.0029 0.2500  3 Ni 2.66-2.81
Ce: 0.0029 0.7644 0.7500  3 Ni 2.66-2.81
Ce: 0.9971 0.2356 0.2500  3 Ni 2.66-2.81
Ce: 0.5238 0.1379 0.7500  3 Ni 2.83-3.12, 2 Si 3.01
Ce: 0.4762 0.8621 0.2500  3 Ni 2.83-3.12, 2 Si 3.01
Ce: 0.8621 0.3859 0.7500  3 Ni 2.83-3.12, 2 Si 3.01
Ce: 0.1379 0.6141 0.2500  3 Ni 2.83-3.12, 2 Si 3.01
Ce: 0.6141 0.4762 0.7500  3 Ni 2.83-3.12, 2 Si 3.01
Ce: 0.3859 0.5238 0.2500  3 Ni 2.83-3.12, 2 Si 3.01
Si: 0.3333 0.6667 0.7500  3 Ni 2.38
Si: 0.6667 0.3333 0.2500  3 Ni 2.38
Ni: 0.1418 0.4247 0.7500  1 Si 2.38, 1 Ce 2.66
Ni: 0.8582 0.5753 0.2500  1 Si 2.38, 1 Ce 2.66
Ni: 0.5753 0.7172 0.7500  1 Si 2.38, 1 Ce 2.66
Ni: 0.4247 0.2828 0.2500  1 Si 2.38, 1 Ce 2.66
Ni: 0.2828 0.8582 0.7500  1 Si 2.38, 1 Ce 2.66
Ni: 0.7172 0.1418 0.2500  1 Si 2.38, 1 Ce 2.66
Ni: 0.0000 0.0000 0.5000  2 Ni 2.34
Ni: 0.0000 0.0000 0.0000  2 Ni 2.34

Record 6
The following is a DFT calculation (PBE-GGA) of a geometry-optimized NaCaSn3P3S3O24 structure.

Output
The symmetry is P1, No. 1. The value obtained for the raw total energy is -680.16 eV/cell. The volume comes out at 1570.1 Å³/cell. As for the magnetization: 0.0000 μB per atom. As for the crystal system: triclinic.

a b c (Å): 8.8649 8.8611 23.1228
angles (deg): 90.15 90.19 120.18
With the nearest neighbours (Å) after each atom.
Element x y z (fractional)
Na: 0.6565 0.3320 0.8334  6 O 2.51-2.67
Na: 0.6740 0.3308 0.3336  6 O 2.59-2.75
Na: 0.3308 0.6741 0.1642  6 O 2.58-2.71
Ca: 0.6611 0.3380 0.6866  6 O 2.15-2.33
Ca: 0.6712 0.3310 0.1833  6 O 2.15-2.33
Ca: 0.3327 0.6727 0.3158  6 O 2.17-2.31
Sn: 0.9935 0.9923 0.3581  6 O 2.00-2.10
Sn: 0.0039 0.0039 0.8588  6 O 2.00-2.12
Sn: 0.9990 0.9997 0.6477  6 O 2.02-2.14
Sn: 0.9932 0.9939 0.1408  6 O 1.99-2.11
Sn: 0.6734 0.3341 0.9817  6 O 2.03-2.18
Sn: 0.6744 0.3413 0.4861  6 O 2.01-2.15
Sn: 0.3345 0.6719 0.0144  6 O 2.01-2.16
Sn: 0.3405 0.6740 0.5146  6 O 2.00-2.14
Sn: 0.3332 0.6596 0.8160  6 O 2.03-2.14
P: 0.2814 0.2882 0.7530  4 O 1.51-1.58
P: 0.6646 0.6341 0.5829  4 O 1.49-1.58
P: 0.9679 0.6289 0.0821  4 O 1.51-1.56
P: 0.6622 0.0332 0.0820  4 O 1.51-1.56
P: 0.6249 0.6631 0.9165  4 O 1.53-1.56
P: 0.0408 0.3780 0.9162  4 O 1.53-1.55
P: 0.3385 0.9601 0.9150  4 O 1.53-1.56
P: 0.6326 0.9722 0.4176  4 O 1.50-1.57
P: 0.0348 0.6633 0.4177  4 O 1.50-1.56
S: 0.2805 0.0022 0.2499  4 O 1.46-1.51
S: 0.7130 0.7132 0.2497  4 O 1.46-1.50
S: 0.0017 0.2800 0.2503  4 O 1.46-1.51
S: 0.0093 0.7170 0.7533  4 O 1.46-1.50
S: 0.7078 0.9920 0.7530  4 O 1.46-1.50
S: 0.9703 0.3360 0.5829  4 O 1.45-1.51
S: 0.3675 0.0343 0.5822  4 O 1.44-1.51
S: 0.3694 0.3359 0.0817  4 O 1.46-1.49
S: 0.3355 0.3680 0.4175  4 O 1.45-1.49
O: 0.1945 0.0187 0.3037  1 S 1.51
O: 0.8172 0.7984 0.3036  1 S 1.50
O: 0.9863 0.1775 0.3040  1 S 1.51
O: 0.1890 0.1709 0.8055  1 P 1.54
O: 0.9784 0.7999 0.8041  1 S 1.48
O: 0.8176 0.0159 0.8044  1 S 1.48
O: 0.7834 0.9624 0.6989  1 S 1.50
O: 0.1709 0.2060 0.6958  1 P 1.58
O: 0.0338 0.8194 0.6989  1 S 1.50
O: 0.8007 0.8184 0.1972  1 S 1.49
O: 0.0167 0.1923 0.1969  1 S 1.50
O: 0.1770 0.9864 0.1966  1 S 1.50
O: 0.8955 0.3677 0.6338  1 S 1.45
O: 0.4753 0.1074 0.6332  1 S 1.44
O: 0.6302 0.5237 0.6354  1 P 1.49
O: 0.8972 0.5252 0.1368  1 P 1.51
O: 0.6230 0.1003 0.1365  1 P 1.51
O: 0.4734 0.3696 0.1343  1 S 1.46
O: 0.4489 0.3044 0.0298  1 S 1.49
O: 0.8486 0.5466 0.0280  1 P 1.56
O: 0.6918 0.1479 0.0277  1 P 1.56
O: 0.4471 0.1463 0.5296  1 S 1.51
O: 0.7026 0.5535 0.5278  1 P 1.58
O: 0.8543 0.2961 0.5304  1 S 1.51
O: 0.5448 0.6973 0.9701  1 P 1.53
O: 0.1555 0.4581 0.9702  1 P 1.54
O: 0.3047 0.8487 0.9691  1 P 1.53
O: 0.5518 0.8537 0.4714  1 P 1.55
O: 0.3034 0.4466 0.4698  1 S 1.49
O: 0.1494 0.6929 0.4727  1 P 1.56
O: 0.1032 0.6234 0.3640  1 P 1.50
O: 0.5264 0.9022 0.3632  1 P 1.50
O: 0.3698 0.4731 0.3658  1 S 1.45
O: 0.1183 0.4935 0.8619  1 P 1.55
O: 0.3750 0.8797 0.8606  1 P 1.56
O: 0.5098 0.6249 0.8615  1 P 1.55
O: 0.0215 0.8315 0.4123  1 P 1.56
O: 0.8183 0.9956 0.4120  1 P 1.56
O: 0.1775 0.1920 0.4116  1 S 1.49
O: 0.0210 0.1967 0.9090  1 P 1.53
O: 0.1747 0.9754 0.9075  1 P 1.53
O: 0.8057 0.8259 0.9075  1 P 1.54
O: 0.9885 0.1777 0.5889  1 S 1.50
O: 0.1921 0.0182 0.5885  1 S 1.50
O: 0.8317 0.8201 0.5905  1 P 1.58
O: 0.9914 0.8154 0.0877  1 P 1.56
O: 0.8309 0.0204 0.0876  1 P 1.56
O: 0.1930 0.1776 0.0877  1 S 1.49
O: 0.6921 0.1478 0.7483  1 S 1.46
O: 0.4607 0.3068 0.7505  1 P 1.51
O: 0.8581 0.5413 0.7491  1 S 1.46
O: 0.6996 0.5418 0.2480  1 S 1.46
O: 0.8427 0.2921 0.2493  1 S 1.47
O: 0.4522 0.1612 0.2489  1 S 1.47
O: 0.6425 0.4982 0.9241  1 P 1.56
O: 0.8579 0.3591 0.9223  1 P 1.55
O: 0.5017 0.1451 0.9225  1 P 1.56
O: 0.6511 0.1552 0.4291  1 P 1.57
O: 0.4892 0.3443 0.4267  1 S 1.49
O: 0.8472 0.5038 0.4267  1 P 1.56
O: 0.3466 0.4901 0.0735  1 S 1.49
O: 0.1517 0.6497 0.0729  1 P 1.56
O: 0.5045 0.8445 0.0732  1 P 1.56
O: 0.3428 0.8575 0.5725  1 S 1.49
O: 0.5033 0.6539 0.5703  1 P 1.55
O: 0.1442 0.4901 0.5714  1 S 1.48
O: 0.2924 0.8434 0.2510  1 S 1.46
O: 0.5426 0.7007 0.2517  1 S 1.46
O: 0.1602 0.4513 0.2519  1 S 1.46
O: 0.2897 0.4674 0.7587  1 P 1.56
O: 0.1736 0.7117 0.7593  1 S 1.49
O: 0.5337 0.8314 0.7584  1 S 1.49